No. 1
BaU2Se5 (r²SCAN, relaxed); spin magnetization = 4.00 μB per formula unit; crystal system = monoclinic; energy = -272.458 eV/f.u.
1.0
8.8672 0.0000 0.0000
0.0000 7.9520 0.0000
-0.0938 0.0000 12.3868
Ba U Se
4 8 20
direct
0.0080 0.0546 0.3307
0.0080 0.4454 0.8307
0.9920 0.5546 0.1693
0.9920 0.9454 0.6693
0.2551 0.5691 0.4919
0.2551 0.9309 0.9919
0.4969 0.5200 0.1797
0.4969 0.9800 0.6797
0.5031 0.0200 0.3203
0.5031 0.4800 0.8203
0.7449 0.0691 0.0081
0.7449 0.4309 0.5081
0.0367 0.1785 0.0711
0.0367 0.3215 0.5711
0.2752 0.6889 0.7150
0.2752 0.8111 0.2150
0.2812 0.1590 0.8116
0.2812 0.3410 0.3116
0.2929 0.5462 0.9983
0.2929 0.9538 0.4983
0.4575 0.1605 0.0995
0.4575 0.3395 0.5995
0.5425 0.6605 0.4005
0.5425 0.8395 0.9005
0.7071 0.0462 0.5017
0.7071 0.4538 0.0017
0.7188 0.6590 0.6884
0.7188 0.8410 0.1884
0.7248 0.1889 0.7850
0.7248 0.3111 0.2850
0.9633 0.6785 0.4289
0.9633 0.8215 0.9289

No. 2
Zn10Pd3 (r²SCAN, relaxed); spin magnetization = 0.00 μB per formula unit; crystal system = monoclinic; energy = -162.383 eV/f.u.
1.0
4.5121 -6.3999 0.0000
4.5121 6.3999 0.0000
-4.4033 0.0000 6.4059
Zn Pd
20 6
direct
0.0000 0.0000 0.0000
0.0362 0.2587 0.5943
0.2480 0.5211 0.2460
0.2501 0.9042 0.8772
0.2555 0.2555 0.3957
0.2555 0.6086 0.9536
0.2587 0.0362 0.5943
0.5006 0.5006 0.8406
0.5211 0.2480 0.2460
0.5244 0.9031 0.5746
0.6062 0.6062 0.2369
0.6086 0.2555 0.9536
0.6140 0.6140 0.5945
0.6180 0.8965 0.9465
0.6408 0.9986 0.3213
0.8965 0.6180 0.9465
0.9031 0.5244 0.5746
0.9042 0.2501 0.8772
0.9058 0.9058 0.6093
0.9986 0.6408 0.3213
0.2603 0.2603 0.9381
0.2650 0.9003 0.2368
0.2744 0.6163 0.6155
0.6163 0.2744 0.6155
0.8985 0.8985 0.2542
0.9003 0.2650 0.2368

No. 3
LaCuSi (r²SCAN, relaxed); spin magnetization = 0.00 μB per formula unit; crystal system = hexagonal; energy = -51.392 eV/f.u.
1.0
4.2374 0.0000 0.0000
-2.1187 3.6697 0.0000
0.0000 0.0000 8.2895
La Cu Si
2 2 2
direct
0.0000 0.0000 0.0000
0.0000 0.0000 0.5000
0.3333 0.6667 0.2500
0.6667 0.3333 0.7500
0.3333 0.6667 0.7500
0.6667 0.3333 0.2500

No. 4
EuSi2Pt (r²SCAN, relaxed); spin magnetization = 6.88 μB per formula unit; crystal system = orthorhombic; energy = -111.325 eV/f.u.
1.0
4.3286 0.0000 0.0000
0.0000 16.9977 0.0000
0.0000 0.0000 4.1783
Eu Si Pt
4 8 4
direct
0.0000 0.1050 0.2500
0.0000 0.8950 0.7500
0.5000 0.3950 0.7500
0.5000 0.6050 0.2500
0.0000 0.2488 0.7500
0.0000 0.4622 0.2500
0.0000 0.5378 0.7500
0.0000 0.7512 0.2500
0.5000 0.0378 0.7500
0.5000 0.2512 0.2500
0.5000 0.7488 0.7500
0.5000 0.9622 0.2500
0.0000 0.3207 0.2500
0.0000 0.6793 0.7500
0.5000 0.1793 0.7500
0.5000 0.8207 0.2500

No. 5
HoCoRu (r²SCAN, relaxed); spin magnetization = 1.50 μB per formula unit; crystal system = orthorhombic; energy = -72.386 eV/f.u.
1.0
5.0412 0.0000 0.0000
0.0000 5.0619 0.0000
0.0000 0.0000 7.7486
Ho Co Ru
4 4 4
direct
0.0000 0.2500 0.1280
0.0000 0.7500 0.8720
0.5000 0.2500 0.3720
0.5000 0.7500 0.6280
0.2500 0.2500 0.7500
0.2500 0.7500 0.2500
0.7500 0.2500 0.7500
0.7500 0.7500 0.2500
0.0000 0.0000 0.5000
0.0000 0.5000 0.5000
0.5000 0.0000 0.0000
0.5000 0.5000 0.0000

No. 6
Er2TlZn (r²SCAN, relaxed); spin magnetization = 0.00 μB per formula unit; crystal system = cubic; energy = -131.485 eV/f.u.
1.0
7.2601 0.0000 0.0000
0.0000 7.2601 0.0000
0.0000 0.0000 7.2601
Er Tl Zn
8 4 4
direct
0.2500 0.2500 0.2500
0.2500 0.2500 0.7500
0.2500 0.7500 0.2500
0.2500 0.7500 0.7500
0.7500 0.2500 0.2500
0.7500 0.2500 0.7500
0.7500 0.7500 0.2500
0.7500 0.7500 0.7500
0.0000 0.0000 0.0000
0.0000 0.5000 0.5000
0.5000 0.0000 0.5000
0.5000 0.5000 0.0000
0.0000 0.0000 0.5000
0.0000 0.5000 0.0000
0.5000 0.0000 0.0000
0.5000 0.5000 0.5000

No. 7
Si3Bi4O12 (r²SCAN, relaxed); spin magnetization = 0.00 μB per formula unit; crystal system = cubic; energy = -373.840 eV/f.u.
1.0
-5.1339 5.1339 5.1339
5.1339 -5.1339 5.1339
5.1339 5.1339 -5.1339
Si Bi O
6 8 24
direct
0.1250 0.7500 0.8750
0.2500 0.6250 0.3750
0.3750 0.2500 0.6250
0.6250 0.3750 0.2500
0.7500 0.8750 0.1250
0.8750 0.1250 0.7500
0.0000 0.3367 0.5000
0.0000 0.8367 0.5000
0.1633 0.1633 0.1633
0.3367 0.5000 0.0000
0.5000 0.0000 0.3367
0.5000 0.0000 0.8367
0.6633 0.6633 0.6633
0.8367 0.5000 0.0000
0.0711 0.6517 0.3430
0.0806 0.2719 0.9289
0.1517 0.5711 0.8430
0.1570 0.8088 0.7281
0.1912 0.4194 0.3483
0.2281 0.3088 0.6570
0.2719 0.9289 0.0806
0.3088 0.6570 0.2281
0.3430 0.0711 0.6517
0.3483 0.1912 0.4194
0.4194 0.3483 0.1912
0.4289 0.7719 0.5806
0.5711 0.8430 0.1517
0.5806 0.4289 0.7719
0.6517 0.3430 0.0711
0.6570 0.2281 0.3088
0.6912 0.8483 0.9194
0.7281 0.1570 0.8088
0.7719 0.5806 0.4289
0.8088 0.7281 0.1570
0.8430 0.1517 0.5711
0.8483 0.9194 0.6912
0.9194 0.6912 0.8483
0.9289 0.0806 0.2719

No. 8
CaAcHg2 (r²SCAN, relaxed); spin magnetization = 0.00 μB per formula unit; crystal system = cubic; energy = -176.863 eV/f.u.
1.0
7.8406 0.0000 0.0000
0.0000 7.8406 0.0000
0.0000 0.0000 7.8406
Ca Ac Hg
4 4 8
direct
0.0000 0.0000 0.0000
0.0000 0.5000 0.5000
0.5000 0.0000 0.5000
0.5000 0.5000 0.0000
0.0000 0.0000 0.5000
0.0000 0.5000 0.0000
0.5000 0.0000 0.0000
0.5000 0.5000 0.5000
0.2500 0.2500 0.2500
0.2500 0.2500 0.7500
0.2500 0.7500 0.2500
0.2500 0.7500 0.7500
0.7500 0.2500 0.2500
0.7500 0.2500 0.7500
0.7500 0.7500 0.2500
0.7500 0.7500 0.7500

No. 9
CaCl2 (r²SCAN, relaxed); spin magnetization = 0.00 μB per formula unit; crystal system = cubic; energy = -27.159 eV/f.u.
1.0
6.7099 0.0000 0.0000
0.0000 6.7099 0.0000
0.0000 0.0000 6.7099
Ca Cl
4 8
direct
0.0000 0.0000 0.0000
0.0000 0.5000 0.5000
0.5000 0.0000 0.5000
0.5000 0.5000 0.0000
0.2500 0.2500 0.2500
0.2500 0.2500 0.7500
0.2500 0.7500 0.2500
0.2500 0.7500 0.7500
0.7500 0.2500 0.2500
0.7500 0.2500 0.7500
0.7500 0.7500 0.2500
0.7500 0.7500 0.7500

no.,formation energy (eV per formula unit)
1,-14.52
2,-4.40
3,-2.03
4,-3.77
5,-0.85
6,-1.54
7,-41.84
8,-2.45
9,-7.82